(1)
Lu2Ni15B9 after structural relaxation, computed with PBE.

Cell lengths 9.765, 9.765, 11.178 Å; angles 90.00, 90.00, 72.13 degrees
Fractional positions:
Lu 0.190 0.310 0.250
Lu 0.240 0.760 0.958
Lu 0.260 0.740 0.458
Lu 0.310 0.190 0.750
Lu 0.690 0.810 0.250
Lu 0.740 0.260 0.542
Lu 0.760 0.240 0.042
Lu 0.810 0.690 0.750
Ni 0.000 0.000 0.000
Ni 0.000 0.000 0.500
Ni 0.003 0.228 0.882
Ni 0.011 0.184 0.660
Ni 0.011 0.830 0.807
Ni 0.031 0.756 0.596
Ni 0.054 0.607 0.916
Ni 0.070 0.430 0.750
Ni 0.107 0.554 0.416
Ni 0.137 0.337 0.531
Ni 0.163 0.363 0.969
Ni 0.170 0.989 0.807
Ni 0.184 0.011 0.340
Ni 0.228 0.003 0.118
Ni 0.234 0.766 0.213
Ni 0.244 0.969 0.596
Ni 0.256 0.531 0.096
Ni 0.266 0.734 0.713
Ni 0.272 0.497 0.618
Ni 0.316 0.489 0.840
Ni 0.330 0.511 0.307
Ni 0.337 0.137 0.469
Ni 0.363 0.163 0.031
Ni 0.393 0.946 0.916
Ni 0.430 0.070 0.250
Ni 0.446 0.893 0.416
Ni 0.469 0.744 0.096
Ni 0.489 0.316 0.160
Ni 0.489 0.670 0.307
Ni 0.497 0.272 0.382
Ni 0.500 0.500 0.000
Ni 0.500 0.500 0.500
Ni 0.503 0.728 0.618
Ni 0.511 0.330 0.693
Ni 0.511 0.684 0.840
Ni 0.531 0.256 0.904
Ni 0.554 0.107 0.584
Ni 0.570 0.930 0.750
Ni 0.607 0.054 0.084
Ni 0.637 0.837 0.969
Ni 0.663 0.863 0.531
Ni 0.670 0.489 0.693
Ni 0.684 0.511 0.160
Ni 0.728 0.503 0.382
Ni 0.734 0.266 0.287
Ni 0.744 0.469 0.904
Ni 0.756 0.031 0.404
Ni 0.766 0.234 0.787
Ni 0.772 0.997 0.882
Ni 0.816 0.989 0.660
Ni 0.830 0.011 0.193
Ni 0.837 0.637 0.031
Ni 0.863 0.663 0.469
Ni 0.893 0.446 0.584
Ni 0.930 0.570 0.250
Ni 0.946 0.393 0.084
Ni 0.969 0.244 0.404
Ni 0.989 0.170 0.193
Ni 0.989 0.816 0.340
Ni 0.997 0.772 0.118
B 0.049 0.549 0.100
B 0.049 0.549 0.600
B 0.049 0.951 0.672
B 0.057 0.943 0.199
B 0.094 0.202 0.051
B 0.120 0.621 0.245
B 0.121 0.620 0.745
B 0.135 0.135 0.500
B 0.202 0.094 0.949
B 0.298 0.406 0.449
B 0.365 0.365 0.000
B 0.379 0.880 0.245
B 0.380 0.879 0.745
B 0.406 0.298 0.551
B 0.443 0.557 0.699
B 0.451 0.549 0.172
B 0.451 0.951 0.100
B 0.451 0.951 0.600
B 0.549 0.049 0.400
B 0.549 0.049 0.900
B 0.549 0.451 0.828
B 0.557 0.443 0.301
B 0.594 0.702 0.449
B 0.620 0.121 0.255
B 0.621 0.120 0.755
B 0.635 0.635 0.000
B 0.702 0.594 0.551
B 0.798 0.906 0.051
B 0.865 0.865 0.500
B 0.879 0.380 0.255
B 0.880 0.379 0.755
B 0.906 0.798 0.949
B 0.943 0.057 0.801
B 0.951 0.049 0.328
B 0.951 0.451 0.400
B 0.951 0.451 0.900

- Space group: Cmce, No. 64
- Calculated formation energy: -0.426 eV per atom
- M_tot: 0.00 μB per formula unit

=====

(2)
LuBO3 after structural relaxation, computed with PBE.

Cell lengths 8.442, 3.873, 3.873 Å; angles 116.17, 90.00, 90.00 degrees
Fractional positions:
Lu 0.000 0.000 0.000
Lu 0.500 0.000 0.000
B 0.250 0.561 0.300
B 0.750 0.300 0.561
O 0.100 0.731 0.388
O 0.250 0.168 0.090
O 0.400 0.731 0.388
O 0.600 0.388 0.731
O 0.750 0.090 0.168
O 0.900 0.388 0.731

- Space group: Ama2, No. 40
- Calculated formation energy: -3.485 eV per atom
- M_tot: 0.00 μB per formula unit

=====

(3)
LuBO3 after structural relaxation, computed with PBE.

Cell lengths 6.108, 6.108, 6.108 Å; angles 47.54, 47.54, 47.54 degrees
Fractional positions:
Lu 0.000 0.000 0.000
Lu 0.500 0.500 0.500
B 0.250 0.250 0.250
B 0.750 0.750 0.750
O 0.032 0.750 0.468
O 0.250 0.532 0.968
O 0.468 0.032 0.750
O 0.532 0.968 0.250
O 0.750 0.468 0.032
O 0.968 0.250 0.532

- Space group: R-3c, No. 167
- Calculated formation energy: -3.569 eV per atom

=====

(4)
Lu4B6O15 after structural relaxation, computed with PBE.

Cell lengths 7.943, 7.943, 7.943 Å; angles 112.00, 112.00, 112.00 degrees
Fractional positions:
Lu 0.000 0.000 0.000
Lu 0.102 0.808 0.286
Lu 0.286 0.102 0.808
Lu 0.808 0.286 0.102
B 0.194 0.278 0.507
B 0.278 0.507 0.194
B 0.507 0.194 0.278
B 0.519 0.857 0.600
B 0.600 0.519 0.857
B 0.857 0.600 0.519
O 0.055 0.254 0.315
O 0.094 0.516 0.122
O 0.122 0.094 0.516
O 0.254 0.315 0.055
O 0.315 0.055 0.254
O 0.361 0.893 0.595
O 0.410 0.482 0.692
O 0.482 0.692 0.410
O 0.516 0.122 0.094
O 0.595 0.361 0.893
O 0.692 0.410 0.482
O 0.731 0.999 0.807
O 0.807 0.731 0.999
O 0.893 0.595 0.361
O 0.999 0.807 0.731

- Space group: R3, No. 146
- Calculated formation energy: -3.330 eV per atom
- M_tot: 0.00 μB per formula unit

=====

(5)
Lu4B6O15 after structural relaxation, computed with PBE.

Cell lengths 6.181, 6.181, 18.677 Å; angles 95.82, 95.82, 41.43 degrees
Fractional positions:
Lu 0.063 0.669 0.900
Lu 0.068 0.657 0.698
Lu 0.331 0.937 0.600
Lu 0.343 0.932 0.802
Lu 0.657 0.068 0.198
Lu 0.669 0.063 0.400
Lu 0.932 0.343 0.302
Lu 0.937 0.331 0.100
B 0.021 0.642 0.525
B 0.197 0.609 0.087
B 0.204 0.659 0.306
B 0.341 0.796 0.194
B 0.358 0.979 0.975
B 0.391 0.803 0.413
B 0.609 0.197 0.587
B 0.642 0.021 0.025
B 0.659 0.204 0.806
B 0.796 0.341 0.694
B 0.803 0.391 0.913
B 0.979 0.358 0.475
O 0.003 0.250 0.981
O 0.052 0.316 0.704
O 0.071 0.565 0.139
O 0.091 0.493 0.450
O 0.130 0.870 0.250
O 0.157 0.813 0.379
O 0.187 0.843 0.121
O 0.250 0.003 0.481
O 0.287 0.546 0.571
O 0.316 0.052 0.204
O 0.333 0.535 0.803
O 0.435 0.929 0.361
O 0.454 0.713 0.929
O 0.465 0.667 0.697
O 0.493 0.091 0.950
O 0.507 0.909 0.050
O 0.535 0.333 0.303
O 0.546 0.287 0.071
O 0.565 0.071 0.639
O 0.667 0.465 0.197
O 0.684 0.948 0.796
O 0.713 0.454 0.429
O 0.750 0.997 0.519
O 0.813 0.157 0.879
O 0.843 0.187 0.621
O 0.870 0.130 0.750
O 0.909 0.507 0.550
O 0.929 0.435 0.861
O 0.948 0.684 0.296
O 0.997 0.750 0.019

- Space group: C2/c, No. 15
- Calculated formation energy: -3.382 eV per atom
- M_tot: 0.00 μB per formula unit

=====

(6)
Lu2B4O9 after structural relaxation, computed with PBE.

Cell lengths 6.126, 6.369, 7.411 Å; angles 102.75, 97.30, 102.36 degrees
Fractional positions:
Lu 0.051 0.089 0.289
Lu 0.387 0.677 0.361
Lu 0.613 0.323 0.639
Lu 0.949 0.911 0.711
B 0.127 0.357 0.649
B 0.161 0.685 0.928
B 0.233 0.333 0.982
B 0.495 0.143 0.192
B 0.505 0.857 0.808
B 0.767 0.667 0.018
B 0.839 0.315 0.072
B 0.873 0.643 0.351
O 0.005 0.795 0.024
O 0.037 0.538 0.747
O 0.082 0.820 0.449
O 0.266 0.262 0.787
O 0.275 0.574 0.045
O 0.283 0.405 0.519
O 0.311 0.872 0.877
O 0.361 0.283 0.147
O 0.428 0.040 0.328
O 0.572 0.960 0.672
O 0.639 0.717 0.853
O 0.689 0.128 0.123
O 0.717 0.595 0.481
O 0.725 0.426 0.955
O 0.734 0.738 0.213
O 0.918 0.180 0.551
O 0.963 0.462 0.253
O 0.995 0.205 0.976

- Space group: P-1, No. 2
- Calculated formation energy: -3.283 eV per atom
- M_tot: 0.00 μB per formula unit

=====

(7)
Lu3B5O12 after structural relaxation, computed with PBE.

Cell lengths 12.785, 4.587, 12.491 Å; angles 90.00, 90.00, 90.00 degrees
Fractional positions:
Lu 0.132 0.000 0.000
Lu 0.135 0.004 0.307
Lu 0.135 0.996 0.693
Lu 0.365 0.004 0.193
Lu 0.365 0.996 0.807
Lu 0.368 0.000 0.500
Lu 0.632 0.000 0.500
Lu 0.635 0.004 0.193
Lu 0.635 0.996 0.807
Lu 0.865 0.004 0.307
Lu 0.865 0.996 0.693
Lu 0.868 0.000 0.000
B 0.000 0.458 0.373
B 0.000 0.461 0.149
B 0.000 0.539 0.851
B 0.000 0.542 0.627
B 0.162 0.500 0.500
B 0.202 0.468 0.849
B 0.202 0.532 0.151
B 0.298 0.468 0.651
B 0.298 0.532 0.349
B 0.338 0.500 0.000
B 0.500 0.458 0.127
B 0.500 0.461 0.351
B 0.500 0.539 0.649
B 0.500 0.542 0.873
B 0.662 0.500 0.000
B 0.702 0.468 0.651
B 0.702 0.532 0.349
B 0.798 0.468 0.849
B 0.798 0.532 0.151
B 0.838 0.500 0.500
O 0.000 0.238 0.641
O 0.000 0.239 0.069
O 0.000 0.301 0.261
O 0.000 0.699 0.739
O 0.000 0.761 0.931
O 0.000 0.762 0.359
O 0.095 0.340 0.855
O 0.095 0.660 0.145
O 0.096 0.335 0.425
O 0.096 0.665 0.575
O 0.204 0.220 0.152
O 0.204 0.780 0.848
O 0.233 0.307 0.564
O 0.233 0.693 0.436
O 0.250 0.337 0.750
O 0.250 0.663 0.250
O 0.267 0.307 0.936
O 0.267 0.693 0.064
O 0.296 0.220 0.348
O 0.296 0.780 0.652
O 0.404 0.335 0.075
O 0.404 0.665 0.925
O 0.405 0.340 0.645
O 0.405 0.660 0.355
O 0.500 0.238 0.859
O 0.500 0.239 0.431
O 0.500 0.301 0.239
O 0.500 0.699 0.761
O 0.500 0.761 0.569
O 0.500 0.762 0.141
O 0.595 0.340 0.645
O 0.595 0.660 0.355
O 0.596 0.335 0.075
O 0.596 0.665 0.925
O 0.704 0.220 0.348
O 0.704 0.780 0.652
O 0.733 0.307 0.936
O 0.733 0.693 0.064
O 0.750 0.337 0.750
O 0.750 0.663 0.250
O 0.767 0.307 0.564
O 0.767 0.693 0.436
O 0.796 0.220 0.152
O 0.796 0.780 0.848
O 0.904 0.335 0.425
O 0.904 0.665 0.575
O 0.905 0.340 0.855
O 0.905 0.660 0.145

- Space group: Pmna, No. 53
- Calculated formation energy: -3.383 eV per atom
- M_tot: 0.00 μB per formula unit

=====

(8)
LuScB2O6 after structural relaxation, computed with PBE.

Cell lengths 5.973, 5.973, 5.973 Å; angles 47.97, 47.97, 47.97 degrees
Fractional positions:
Lu 0.000 0.000 0.000
Sc 0.500 0.500 0.500
B 0.247 0.247 0.247
B 0.753 0.753 0.753
O 0.043 0.741 0.472
O 0.259 0.528 0.957
O 0.472 0.043 0.741
O 0.528 0.957 0.259
O 0.741 0.472 0.043
O 0.957 0.259 0.528

- Space group: R-3, No. 148
- Calculated formation energy: -3.504 eV per atom
- M_tot: 0.00 μB per formula unit

=====

(9)
Lu2B6Os after structural relaxation, computed with PBE.

Cell lengths 9.033, 11.400, 3.599 Å; angles 90.00, 90.00, 90.00 degrees
Fractional positions:
Lu 0.055 0.126 0.000
Lu 0.179 0.414 0.000
Lu 0.321 0.914 0.000
Lu 0.445 0.626 0.000
Lu 0.555 0.374 0.000
Lu 0.679 0.086 0.000
Lu 0.821 0.586 0.000
Lu 0.945 0.874 0.000
B 0.017 0.287 0.500
B 0.054 0.566 0.500
B 0.108 0.970 0.500
B 0.132 0.815 0.500
B 0.207 0.233 0.500
B 0.250 0.079 0.500
B 0.250 0.579 0.500
B 0.293 0.733 0.500
B 0.368 0.315 0.500
B 0.392 0.470 0.500
B 0.446 0.066 0.500
B 0.483 0.787 0.500
B 0.517 0.213 0.500
B 0.554 0.934 0.500
B 0.608 0.530 0.500
B 0.632 0.685 0.500
B 0.707 0.267 0.500
B 0.750 0.421 0.500
B 0.750 0.921 0.500
B 0.793 0.767 0.500
B 0.868 0.185 0.500
B 0.892 0.030 0.500
B 0.946 0.434 0.500
B 0.983 0.713 0.500
Os 0.139 0.679 0.000
Os 0.361 0.179 0.000
Os 0.639 0.821 0.000
Os 0.861 0.321 0.000

- Space group: Pbam, No. 55
- Calculated formation energy: -0.720 eV per atom
- M_tot: 0.00 μB per formula unit

=====

(10)
LuBPd3 after structural relaxation, computed with PBE.

Cell lengths 4.286, 4.286, 4.286 Å; angles 90.00, 90.00, 90.00 degrees
Fractional positions:
Lu 0.000 0.000 0.000
B 0.500 0.500 0.500
Pd 0.000 0.500 0.500
Pd 0.500 0.000 0.500
Pd 0.500 0.500 0.000

- Space group: Pm-3m, No. 221
- Calculated formation energy: -0.645 eV per atom
- M_tot: 0.00 μB per formula unit